72
Lattice="-16.263 9.194 -2.540 -3.157 -5.603 -0.064 -4.054 -3.019 15.028" Properties=species:S:1:pos:R:3 comment="CsRe6S8Br3 | the Materials Project | PBE | optimized geometry" total_energy_ev_per_atom=-7.0228 e_form_ev_per_fu=-18.5 energy_mp2020_ev_per_atom=-7.34 vol_a3_per_cell=1844.7 pbc="T T T"
Cs -12.537 -0.854 10.046
Cs -20.437 4.139 8.724
Cs -3.038 -3.568 3.699
Cs -10.938 1.425 2.377
Re -10.947 5.921 -0.975
Re -7.945 1.004 7.408
Re -14.274 2.931 -1.303
Re -20.371 -0.352 12.089
Re -16.961 -0.754 7.189
Re -3.104 0.923 0.334
Re -17.596 0.765 3.846
Re -7.604 -5.478 6.337
Re -12.528 -5.350 13.398
Re -8.759 -3.407 7.473
Re -6.432 -2.067 0.006
Re -15.871 6.049 6.086
Re -6.789 -1.068 6.272
Re -14.716 3.978 4.950
Re -17.043 2.638 12.417
Re -16.686 1.639 6.151
Re -15.530 -0.433 5.015
Re -6.514 1.325 5.234
Re -9.201 -2.360 13.726
Re -5.392 2.187 0.823
Re -7.081 -1.010 12.976
Re -16.394 1.581 -0.553
Re -5.879 -0.194 8.577
Re -18.084 -1.616 11.600
S -7.482 -3.279 5.319
S -10.501 -4.228 12.678
S -18.344 0.771 11.371
S -16.429 3.963 -0.897
S -16.900 3.741 10.286
S -16.539 5.196 3.921
S -7.151 1.914 -0.811
S -8.067 -1.196 8.424
S -12.974 4.799 -0.255
S -6.936 -4.626 8.502
S -14.992 6.910 -2.124
S -18.038 1.215 8.095
S -14.860 0.421 7.179
S -8.615 0.150 5.244
S -10.678 -2.442 6.373
S -12.797 3.013 6.050
S -14.422 1.826 0.829
S -4.870 -2.032 7.376
S -10.113 -3.826 9.415
S -13.362 4.397 3.008
S -8.483 -6.339 14.547
S -9.053 -1.255 11.594
S -6.575 -3.170 2.137
S -16.324 -1.343 13.234
S -15.408 1.767 3.999
S -15.993 3.850 7.104
S -7.046 -3.392 13.320
S -18.606 2.603 5.047
S -5.437 -0.644 4.328
S -8.586 -1.037 0.413
S -14.889 1.608 12.010
S -5.131 -0.200 1.052
Br -5.311 -1.237 10.974
Br -9.436 4.331 0.360
Br -18.164 1.807 1.449
Br -14.039 -3.760 12.063
Br -7.103 2.433 2.864
Br -13.147 -1.052 4.296
Br -16.372 -1.862 9.559
Br -10.329 1.622 8.127
Br -5.218 -6.091 5.611
Br -18.257 6.661 6.812
Br -1.587 -0.663 1.662
Br -21.888 1.234 10.761